# 1
Here is an optimized crystal structure of Mg2VGa3S8 from the Materials Project. Energies are from PBE-GGA.

Computed properties:
E_form   -1.11 eV per atom
Calculated volume   278.8 Å³ per cell
Total energy   -65.97 eV/cell
Magnetization   2.00 μB per cell

Unit cell a=7.312 b=7.317 c=7.323 alpha=119.88 beta=90.41 gamma=119.45
Sites, in units of the cell vectors:
Mg 0.125 0.250 0.375
Mg 0.875 0.750 0.625
V 0.500 0.000 0.000
Ga 0.000 0.500 0.000
Ga 0.500 0.000 0.500
Ga 0.500 0.500 0.000
S 0.262 0.522 0.240
S 0.263 0.528 0.784
S 0.264 0.979 0.234
S 0.283 0.019 0.763
S 0.717 0.981 0.237
S 0.736 0.021 0.766
S 0.737 0.472 0.216
S 0.738 0.478 0.760



# 2
Here is an optimized crystal structure of LiYMg14 from the Materials Project. Energies are from PBE-GGA.

Computed properties:
E_form   0.00 eV per atom
Calculated volume   377.3 Å³ per cell
Total energy   -30.75 eV/cell
Magnetization   0.00 μB per cell
Excess energy over the best structure of this formula in the dataset   0.007 eV per atom

Unit cell a=10.382 b=6.495 c=6.495 alpha=59.48 beta=90.00 gamma=90.00
Sites, in units of the cell vectors:
Li 0.000 0.000 0.000
Y 0.000 0.506 0.506
Mg 0.000 0.001 0.517
Mg 0.000 0.517 0.001
Mg 0.243 0.169 0.169
Mg 0.254 0.168 0.672
Mg 0.254 0.672 0.168
Mg 0.255 0.671 0.671
Mg 0.500 0.005 0.005
Mg 0.500 0.005 0.503
Mg 0.500 0.503 0.005
Mg 0.500 0.504 0.504
Mg 0.745 0.671 0.671
Mg 0.746 0.168 0.672
Mg 0.746 0.672 0.168
Mg 0.757 0.169 0.169



# 3
Here is an optimized crystal structure of CsC4S4N8O2F from the Materials Project. Energies are from PBE-GGA.

Computed properties:
E_form   0.43 eV per atom
Calculated volume   863.7 Å³ per cell
Total energy   -244.83 eV/cell
Magnetization   0.00 μB per cell

Unit cell a=11.506 b=11.506 c=11.506 alpha=133.37 beta=73.23 gamma=127.00
Sites, in units of the cell vectors:
Cs 0.250 0.250 0.000
Cs 0.750 0.750 0.000
C 0.053 0.646 0.699
C 0.216 0.101 0.316
C 0.284 0.601 0.885
C 0.447 0.146 0.594
C 0.553 0.854 0.406
C 0.716 0.399 0.115
C 0.784 0.899 0.684
C 0.947 0.354 0.301
S 0.119 0.815 0.934
S 0.143 0.245 0.388
S 0.357 0.745 0.102
S 0.381 0.315 0.696
S 0.619 0.685 0.304
S 0.643 0.255 0.898
S 0.857 0.755 0.612
S 0.881 0.185 0.066
N 0.041 0.416 0.230
N 0.081 0.006 0.325
N 0.181 0.506 0.925
N 0.185 0.811 0.770
N 0.315 0.084 0.626
N 0.319 0.243 0.325
N 0.418 0.743 0.925
N 0.459 0.689 0.374
N 0.541 0.311 0.626
N 0.582 0.257 0.075
N 0.681 0.757 0.675
N 0.685 0.916 0.374
N 0.815 0.189 0.230
N 0.819 0.494 0.075
N 0.919 0.994 0.675
N 0.959 0.584 0.770
O 0.166 0.395 0.561
O 0.334 0.895 0.229
O 0.666 0.105 0.771
O 0.834 0.605 0.439
F 0.000 0.500 0.500
F 0.500 0.000 0.500



# 4
Here is an optimized crystal structure of LiCuPO4 from the Materials Project. Energies are from PBE-GGA.

Computed properties:
E_form   -2.14 eV per atom
Calculated volume   144.7 Å³ per cell
Total energy   -86.85 eV/cell
Magnetization   2.00 μB per cell
Excess energy over the best structure of this formula in the dataset   0.060 eV per atom

Unit cell a=5.066 b=5.066 c=6.107 alpha=90.00 beta=90.00 gamma=112.62
Sites, in units of the cell vectors:
Li 0.000 0.000 0.000
Li 0.000 0.000 0.500
Cu 0.311 0.689 0.750
Cu 0.689 0.311 0.250
P 0.364 0.636 0.250
P 0.636 0.364 0.750
O 0.251 0.303 0.250
O 0.253 0.747 0.048
O 0.253 0.747 0.452
O 0.303 0.251 0.750
O 0.697 0.749 0.250
O 0.747 0.253 0.548
O 0.747 0.253 0.952
O 0.749 0.697 0.750



# 5
Here is an optimized crystal structure of USeO5 from the Materials Project. Energies are from PBE-GGA.

Computed properties:
E_form   -2.56 eV per atom
Calculated volume   235.6 Å³ per cell
Total energy   -108.09 eV/cell

Unit cell a=4.277 b=9.556 c=5.835 alpha=90.00 beta=98.99 gamma=90.00
Sites, in units of the cell vectors:
U 0.000 0.000 0.000
U 0.000 0.500 0.000
Se 0.364 0.250 0.709
Se 0.636 0.750 0.291
O 0.006 0.750 0.203
O 0.054 0.087 0.276
O 0.054 0.413 0.276
O 0.489 0.106 0.883
O 0.489 0.394 0.883
O 0.511 0.606 0.117
O 0.511 0.894 0.117
O 0.946 0.587 0.724
O 0.946 0.913 0.724
O 0.994 0.250 0.797



# 6
Here is an optimized crystal structure of YZn2AsO2 from the Materials Project. Energies are from PBE-GGA.

Computed properties:
E_form   -0.78 eV per atom
Calculated volume   144.9 Å³ per cell
Total energy   -26.86 eV/cell
Magnetization   0.51 μB per cell

Unit cell a=3.403 b=3.403 c=12.513 alpha=90.00 beta=90.00 gamma=90.00
Sites, in units of the cell vectors:
Y 0.000 0.000 0.000
Zn 0.000 0.000 0.307
Zn 0.000 0.000 0.693
As 0.000 0.000 0.500
O 0.000 0.000 0.165
O 0.000 0.000 0.835



# 7
Here is an optimized crystal structure of K2LiYBr6 from the Materials Project. Energies are from PBE-GGA.

Computed properties:
E_form   -2.08 eV per atom
Calculated volume   335.2 Å³ per cell
Total energy   -38.03 eV/cell
Magnetization   0.00 μB per cell

Unit cell a=7.797 b=7.797 c=7.797 alpha=60.00 beta=60.00 gamma=60.00
Sites, in units of the cell vectors:
K 0.250 0.250 0.250
K 0.750 0.750 0.750
Li 0.000 0.000 0.000
Y 0.500 0.500 0.500
Br 0.247 0.247 0.753
Br 0.247 0.753 0.247
Br 0.247 0.753 0.753
Br 0.753 0.247 0.247
Br 0.753 0.247 0.753
Br 0.753 0.753 0.247



# 8
Here is an optimized crystal structure of NaHfAlSiS2O12 from the Materials Project. Energies are from PBE-GGA.

Computed properties:
E_form   -2.70 eV per atom
Calculated volume   1478.9 Å³ per cell
Total energy   -770.29 eV/cell
Magnetization   0.00 μB per cell

Unit cell a=8.697 b=8.697 c=22.598 alpha=90.85 beta=90.85 gamma=59.92
Sites, in units of the cell vectors:
Na 0.000 0.000 0.000
Na 0.000 0.000 0.500
Na 0.298 0.338 0.334
Na 0.338 0.298 0.834
Na 0.648 0.679 0.665
Na 0.679 0.648 0.165
Hf 0.310 0.312 0.483
Hf 0.312 0.310 0.983
Hf 0.649 0.670 0.815
Hf 0.670 0.649 0.315
Hf 0.985 0.990 0.149
Hf 0.990 0.985 0.649
Al 0.284 0.349 0.190
Al 0.349 0.284 0.690
Al 0.648 0.654 0.022
Al 0.654 0.648 0.522
Al 0.986 0.994 0.858
Al 0.994 0.986 0.358
Si 0.000 0.701 0.257
Si 0.013 0.339 0.087
Si 0.339 0.013 0.587
Si 0.355 0.932 0.923
Si 0.701 0.000 0.757
Si 0.932 0.355 0.423
S 0.000 0.272 0.756
S 0.031 0.600 0.590
S 0.272 0.000 0.256
S 0.272 0.688 0.754
S 0.332 0.603 0.089
S 0.363 0.662 0.421
S 0.600 0.031 0.090
S 0.603 0.332 0.589
S 0.662 0.363 0.921
S 0.666 0.938 0.422
S 0.688 0.272 0.254
S 0.938 0.666 0.922
O 0.008 0.783 0.594
O 0.017 0.805 0.314
O 0.029 0.163 0.808
O 0.113 0.362 0.145
O 0.122 0.495 0.642
O 0.123 0.511 0.927
O 0.130 0.339 0.426
O 0.140 0.298 0.029
O 0.140 0.526 0.535
O 0.153 0.299 0.748
O 0.159 0.958 0.911
O 0.161 0.994 0.593
O 0.163 0.029 0.308
O 0.169 0.777 0.808
O 0.170 0.783 0.094
O 0.177 0.504 0.249
O 0.184 0.821 0.416
O 0.192 0.972 0.201
O 0.200 0.803 0.701
O 0.280 0.517 0.744
O 0.298 0.140 0.529
O 0.299 0.153 0.248
O 0.305 0.523 0.034
O 0.339 0.130 0.926
O 0.347 0.500 0.427
O 0.354 0.495 0.142
O 0.362 0.113 0.645
O 0.447 0.688 0.475
O 0.447 0.834 0.261
O 0.458 0.657 0.760
O 0.459 0.812 0.980
O 0.467 0.638 0.367
O 0.476 0.848 0.864
O 0.489 0.623 0.084
O 0.495 0.122 0.142
O 0.495 0.354 0.642
O 0.500 0.347 0.927
O 0.504 0.177 0.749
O 0.511 0.123 0.427
O 0.515 0.821 0.575
O 0.517 0.280 0.244
O 0.523 0.305 0.534
O 0.526 0.140 0.035
O 0.615 0.856 0.082
O 0.623 0.489 0.584
O 0.625 0.867 0.368
O 0.638 0.467 0.867
O 0.657 0.458 0.260
O 0.677 0.823 0.760
O 0.683 0.832 0.474
O 0.688 0.447 0.975
O 0.777 0.169 0.308
O 0.783 0.008 0.094
O 0.783 0.170 0.594
O 0.803 0.200 0.201
O 0.805 0.017 0.814
O 0.812 0.459 0.480
O 0.816 0.968 0.697
O 0.821 0.184 0.916
O 0.821 0.515 0.075
O 0.823 0.677 0.260
O 0.827 0.950 0.415
O 0.832 0.683 0.974
O 0.834 0.447 0.761
O 0.848 0.476 0.364
O 0.856 0.615 0.582
O 0.867 0.625 0.868
O 0.950 0.827 0.915
O 0.958 0.159 0.411
O 0.968 0.816 0.197
O 0.972 0.192 0.701
O 0.994 0.161 0.093



# 9
Here is an optimized crystal structure of ErNi3 from the Materials Project. Energies are from PBE-GGA.

Computed properties:
E_form   -0.44 eV per atom
Calculated volume   169.7 Å³ per cell
Total energy   -70.96 eV/cell

Unit cell a=8.550 b=8.550 c=8.550 alpha=33.51 beta=33.51 gamma=33.51
Sites, in units of the cell vectors:
Er 0.000 0.000 0.000
Er 0.139 0.139 0.139
Er 0.861 0.861 0.861
Ni 0.081 0.583 0.583
Ni 0.333 0.333 0.333
Ni 0.417 0.417 0.919
Ni 0.417 0.919 0.417
Ni 0.500 0.500 0.500
Ni 0.583 0.081 0.583
Ni 0.583 0.583 0.081
Ni 0.667 0.667 0.667
Ni 0.919 0.417 0.417



# 10
Here is an optimized crystal structure of Zr7Te8N4 from the Materials Project. Energies are from PBE-GGA.

Computed properties:
E_form   -0.94 eV per atom
Calculated volume   484.9 Å³ per cell
Total energy   -134.78 eV/cell
Magnetization   0.00 μB per cell

Unit cell a=7.884 b=7.966 c=8.427 alpha=102.21 beta=102.29 gamma=102.98
Sites, in units of the cell vectors:
Zr 0.000 0.000 0.000
Zr 0.041 0.183 0.522
Zr 0.105 0.444 0.230
Zr 0.293 0.626 0.698
Zr 0.603 0.031 0.293
Zr 0.772 0.272 0.814
Zr 0.824 0.488 0.551
Te 0.066 0.880 0.682
Te 0.246 0.732 0.065
Te 0.296 0.186 0.309
Te 0.383 0.333 0.789
Te 0.491 0.692 0.457
Te 0.604 0.939 0.910
Te 0.706 0.382 0.178
Te 0.868 0.851 0.255
N 0.002 0.255 0.995
N 0.077 0.453 0.501
N 0.775 0.193 0.541
N 0.833 0.517 0.790



# 11
Here is an optimized crystal structure of Ti3N2 from the Materials Project. Energies are from PBE-GGA.

Computed properties:
E_form   -1.61 eV per atom
Calculated volume   112.8 Å³ per cell
Total energy   -95.33 eV/cell

Unit cell a=5.679 b=5.679 c=5.679 alpha=54.46 beta=54.46 gamma=54.46
Sites, in units of the cell vectors:
Ti 0.073 0.750 0.427
Ti 0.250 0.573 0.927
Ti 0.427 0.073 0.750
Ti 0.573 0.927 0.250
Ti 0.750 0.427 0.073
Ti 0.927 0.250 0.573
N 0.159 0.159 0.159
N 0.341 0.341 0.341
N 0.659 0.659 0.659
N 0.841 0.841 0.841



# 12
Here is an optimized crystal structure of Sm7Br3O18 from the Materials Project. Energies are from PBE-GGA.

Computed properties:
E_form   -1.88 eV per atom
Calculated volume   903.6 Å³ per cell
Total energy   -353.61 eV/cell
Magnetization   11.99 μB per cell

Unit cell a=15.663 b=15.663 c=4.253 alpha=90.00 beta=90.00 gamma=120.00
Sites, in units of the cell vectors:
Sm 0.109 0.850 0.250
Sm 0.114 0.656 0.750
Sm 0.150 0.260 0.250
Sm 0.260 0.109 0.750
Sm 0.333 0.667 0.250
Sm 0.344 0.459 0.750
Sm 0.459 0.114 0.250
Sm 0.541 0.886 0.750
Sm 0.656 0.541 0.250
Sm 0.667 0.333 0.750
Sm 0.740 0.891 0.250
Sm 0.850 0.740 0.750
Sm 0.886 0.344 0.250
Sm 0.891 0.150 0.750
Br 0.063 0.445 0.750
Br 0.382 0.937 0.750
Br 0.445 0.382 0.250
Br 0.555 0.618 0.750
Br 0.618 0.063 0.250
Br 0.937 0.555 0.250
O 0.027 0.843 0.750
O 0.031 0.751 0.750
O 0.074 0.264 0.750
O 0.157 0.184 0.750
O 0.165 0.640 0.250
O 0.177 0.741 0.250
O 0.184 0.027 0.250
O 0.190 0.926 0.750
O 0.249 0.280 0.750
O 0.259 0.436 0.250
O 0.264 0.190 0.250
O 0.278 0.571 0.750
O 0.280 0.031 0.250
O 0.293 0.722 0.750
O 0.360 0.525 0.250
O 0.429 0.707 0.750
O 0.436 0.177 0.750
O 0.475 0.835 0.250
O 0.525 0.165 0.750
O 0.564 0.823 0.250
O 0.571 0.293 0.250
O 0.640 0.475 0.750
O 0.707 0.278 0.250
O 0.720 0.969 0.750
O 0.722 0.429 0.250
O 0.736 0.810 0.750
O 0.741 0.564 0.750
O 0.751 0.720 0.250
O 0.810 0.074 0.250
O 0.816 0.973 0.750
O 0.823 0.259 0.750
O 0.835 0.360 0.750
O 0.843 0.816 0.250
O 0.926 0.736 0.250
O 0.969 0.249 0.250
O 0.973 0.157 0.250